1.
Here is a relaxed LaNi4Bi3O12 crystal from the Materials Project. Energies are from PBE+U.

E_form = -32.483 eV/f.u.
SG = P1

POSCAR file:
```
LaNi4Bi3O12
1.0
1.911 4.093 -3.064
5.348 -1.935 0.525
-0.713 -4.593 -6.384
La Ni Bi O
1 4 3 12
Direct
0.018 0.943 0.245
0.001 0.499 0.503
0.004 0.499 0.999
0.501 0.001 0.999
0.497 0.003 0.503
0.992 0.060 0.775
0.517 0.564 0.727
0.490 0.440 0.282
0.859 0.535 0.252
0.147 0.466 0.747
0.211 0.227 0.420
0.786 0.777 0.579
0.393 0.925 0.757
0.592 0.076 0.244
0.670 0.317 0.544
0.317 0.696 0.448
0.824 0.820 0.959
0.169 0.166 0.023
0.319 0.660 0.085
0.691 0.327 0.911
```

***

2.
Here is a relaxed LiMnP3HO10 crystal from the Materials Project. Energies are from PBE+U.

E_form = -37.880 eV/f.u.
SG = C2

POSCAR file:
```
LiMnP3HO10
1.0
-2.730 -5.539 0.987
4.833 -2.319 3.221
-1.762 -0.202 6.258
Li Mn P H O
1 1 3 1 10
Direct
0.999 0.001 0.500
0.335 0.665 0.000
0.800 0.555 0.105
0.428 0.572 0.500
0.445 0.200 0.895
0.760 0.240 0.000
0.657 0.672 0.950
0.317 0.980 0.982
0.402 0.729 0.640
0.688 0.594 0.351
0.701 0.190 0.857
0.810 0.299 0.143
0.406 0.312 0.649
0.271 0.598 0.360
0.020 0.683 0.018
0.328 0.343 0.050
```

***

3.
Here is a relaxed Li2TiNiO4 crystal from the Materials Project. Energies are from PBE+U.

E_form = -20.050 eV/f.u.

POSCAR file:
```
Li2TiNiO4
1.0
0.048 -2.593 1.459
9.595 1.186 1.794
-0.164 2.511 4.470
Li Ti Ni O
4 2 2 8
Direct
0.000 0.500 0.500
0.000 0.000 0.000
0.500 0.750 0.250
0.500 0.250 0.750
0.000 0.750 0.750
0.000 0.250 0.250
0.500 0.000 0.500
0.500 0.500 0.000
0.000 0.129 0.599
0.000 0.629 0.099
0.000 0.871 0.401
0.000 0.371 0.901
0.500 0.863 0.867
0.500 0.363 0.367
0.500 0.137 0.133
0.500 0.637 0.633
```